The following is a DFT calculation (PBE) of Ba4CaCu6Hg2O16 after structural relaxation.

Unit cell a=3.714 b=7.436 c=16.865 alpha=90.00 beta=90.00 gamma=90.00
Sites, in units of the cell vectors:
Ba  0.000  0.000  0.000
Ba  0.000  0.000  0.365
Ba  0.000  0.500  0.000
Ba  0.000  0.500  0.365
Ca  0.000  0.000  0.585
Cu  0.500  0.250  0.862
Cu  0.500  0.255  0.693
Cu  0.500  0.263  0.499
Cu  0.500  0.737  0.499
Cu  0.500  0.745  0.693
Cu  0.500  0.750  0.862
Hg  0.500  0.250  0.183
Hg  0.500  0.750  0.183
O  0.000  0.234  0.483
O  0.000  0.241  0.677
O  0.000  0.250  0.886
O  0.000  0.750  0.886
O  0.000  0.759  0.677
O  0.000  0.766  0.483
O  0.500  0.000  0.490
O  0.500  0.000  0.670
O  0.500  0.000  0.885
O  0.500  0.247  0.302
O  0.500  0.250  0.064
O  0.500  0.500  0.471
O  0.500  0.500  0.681
O  0.500  0.500  0.885
O  0.500  0.750  0.064
O  0.500  0.753  0.302

Output
Formation enthalpy at 0 K (eV per atom): -1.4696
VASP energy (eV/atom): -5.0234
Size of the total moment (μB/f.u.): 1.47
Space-group type: Pmm2 (25)



The following is a DFT calculation (PBE) of Ti2Nb2Sb3O14 after structural relaxation.

Unit cell a=20.220 b=20.220 c=5.632 alpha=92.32 beta=92.32 gamma=14.17
Sites, in units of the cell vectors:
Ti  0.001  0.441  0.180
Ti  0.441  0.001  0.680
Ti  0.559  0.999  0.320
Ti  0.999  0.559  0.820
Nb  0.173  0.679  0.639
Nb  0.321  0.827  0.861
Nb  0.679  0.173  0.139
Nb  0.827  0.321  0.361
Sb  0.161  0.539  0.245
Sb  0.199  0.801  0.250
Sb  0.461  0.839  0.255
Sb  0.539  0.161  0.745
Sb  0.801  0.199  0.750
Sb  0.839  0.461  0.755
O  0.052  0.891  0.571
O  0.056  0.125  0.676
O  0.109  0.948  0.929
O  0.125  0.056  0.176
O  0.170  0.237  0.420
O  0.216  0.309  0.155
O  0.233  0.416  0.919
O  0.237  0.170  0.920
O  0.302  0.458  0.581
O  0.309  0.216  0.655
O  0.416  0.233  0.419
O  0.426  0.459  0.871
O  0.458  0.302  0.081
O  0.459  0.426  0.371
O  0.541  0.574  0.629
O  0.542  0.698  0.919
O  0.574  0.541  0.129
O  0.584  0.767  0.581
O  0.691  0.784  0.345
O  0.698  0.542  0.419
O  0.763  0.830  0.080
O  0.767  0.584  0.081
O  0.784  0.691  0.845
O  0.830  0.763  0.580
O  0.875  0.944  0.824
O  0.891  0.052  0.071
O  0.944  0.875  0.324
O  0.948  0.109  0.429

Output
Formation enthalpy at 0 K (eV per atom): -2.6171
VASP energy (eV/atom): -7.7615
Size of the total moment (μB/f.u.): 0.92
Space-group type: C2/c (15)



The following is a DFT calculation (PBE) of Cs2ZrI6O18 after structural relaxation.

Unit cell a=8.051 b=8.051 c=8.051 alpha=97.30 beta=97.30 gamma=97.30
Sites, in units of the cell vectors:
Cs  0.164  0.164  0.164
Cs  0.836  0.836  0.836
Zr  0.500  0.500  0.500
I  0.122  0.702  0.339
I  0.298  0.661  0.878
I  0.339  0.122  0.702
I  0.661  0.878  0.298
I  0.702  0.339  0.122
I  0.878  0.298  0.661
O  0.095  0.689  0.110
O  0.108  0.599  0.722
O  0.110  0.095  0.689
O  0.276  0.545  0.357
O  0.278  0.892  0.401
O  0.311  0.890  0.905
O  0.357  0.276  0.545
O  0.401  0.278  0.892
O  0.455  0.643  0.724
O  0.545  0.357  0.276
O  0.599  0.722  0.108
O  0.643  0.724  0.455
O  0.689  0.110  0.095
O  0.722  0.108  0.599
O  0.724  0.455  0.643
O  0.890  0.905  0.311
O  0.892  0.401  0.278
O  0.905  0.311  0.890

Output
Formation enthalpy at 0 K (eV per atom): -1.3694
VASP energy (eV/atom): -4.9316
Size of the total moment (μB/f.u.): 0.00
Space-group type: R-3 (148)